Entry 1:
Material: Hf9Re4O3
Method: DFT, PBE-GGA
State: relaxed

DFT formation energy: -1.327 eV/atom

Geometry as CIF:
```
data_Hf9Re4O3
_cell_length_a 8.4570
_cell_length_b 8.4570
_cell_length_c 8.5456
_cell_angle_alpha 90.00
_cell_angle_beta 90.00
_cell_angle_gamma 120.00
_symmetry_space_group_name_H-M 'P 1'
_symmetry_Int_Tables_number 1
loop_
_symmetry_equiv_pos_as_xyz
'x,y,z'
loop_
_atom_site_label
_atom_site_type_symbol
_atom_site_fract_x
_atom_site_fract_y
_atom_site_fract_z
Hf1 Hf 0.0953 0.5477 0.2500
Hf2 Hf 0.2017 0.4034 0.5626
Hf3 Hf 0.2017 0.4034 0.9374
Hf4 Hf 0.2017 0.7983 0.5626
Hf5 Hf 0.2017 0.7983 0.9374
Hf6 Hf 0.4034 0.2017 0.0626
Hf7 Hf 0.4034 0.2017 0.4374
Hf8 Hf 0.4523 0.5477 0.2500
Hf9 Hf 0.4523 0.9047 0.2500
Hf10 Hf 0.5477 0.0953 0.7500
Hf11 Hf 0.5477 0.4523 0.7500
Hf12 Hf 0.5966 0.7983 0.5626
Hf13 Hf 0.5966 0.7983 0.9374
Hf14 Hf 0.7983 0.2017 0.0626
Hf15 Hf 0.7983 0.2017 0.4374
Hf16 Hf 0.7983 0.5966 0.0626
Hf17 Hf 0.7983 0.5966 0.4374
Hf18 Hf 0.9047 0.4523 0.7500
Re1 Re 0.0000 0.0000 0.0000
Re2 Re 0.0000 0.0000 0.5000
Re3 Re 0.1102 0.2204 0.2500
Re4 Re 0.1102 0.8898 0.2500
Re5 Re 0.2204 0.1102 0.7500
Re6 Re 0.7796 0.8898 0.2500
Re7 Re 0.8898 0.1102 0.7500
Re8 Re 0.8898 0.7796 0.7500
O1 O 0.0000 0.5000 0.0000
O2 O 0.0000 0.5000 0.5000
O3 O 0.5000 0.0000 0.0000
O4 O 0.5000 0.0000 0.5000
O5 O 0.5000 0.5000 0.0000
O6 O 0.5000 0.5000 0.5000
```



Entry 2:
Material: HfSO
Method: DFT, PBE-GGA
State: relaxed

DFT formation energy: -2.905 eV/atom

Geometry as CIF:
```
data_HfSO
_cell_length_a 3.5765
_cell_length_b 3.5765
_cell_length_c 6.3631
_cell_angle_alpha 90.00
_cell_angle_beta 90.00
_cell_angle_gamma 90.00
_symmetry_space_group_name_H-M 'P 1'
_symmetry_Int_Tables_number 1
loop_
_symmetry_equiv_pos_as_xyz
'x,y,z'
loop_
_atom_site_label
_atom_site_type_symbol
_atom_site_fract_x
_atom_site_fract_y
_atom_site_fract_z
Hf1 Hf 0.2500 0.2500 0.1965
Hf2 Hf 0.7500 0.7500 0.8035
S1 S 0.2500 0.2500 0.6274
S2 S 0.7500 0.7500 0.3726
O1 O 0.2500 0.7500 0.0000
O2 O 0.7500 0.2500 0.0000
```



Entry 3:
Material: HfSO7
Method: DFT, PBE-GGA
State: relaxed

DFT formation energy: -1.455 eV/atom

Geometry as CIF:
```
data_HfSO7
_cell_length_a 7.0150
_cell_length_b 7.0150
_cell_length_c 7.7116
_cell_angle_alpha 92.70
_cell_angle_beta 92.70
_cell_angle_gamma 124.99
_symmetry_space_group_name_H-M 'P 1'
_symmetry_Int_Tables_number 1
loop_
_symmetry_equiv_pos_as_xyz
'x,y,z'
loop_
_atom_site_label
_atom_site_type_symbol
_atom_site_fract_x
_atom_site_fract_y
_atom_site_fract_z
Hf1 Hf 0.0507 0.9493 0.7500
Hf2 Hf 0.9493 0.0507 0.2500
S1 S 0.3794 0.6206 0.2500
S2 S 0.6206 0.3794 0.7500
O1 O 0.0532 0.9406 0.0304
O2 O 0.0594 0.9468 0.4696
O3 O 0.2113 0.7887 0.7500
O4 O 0.2588 0.6317 0.0952
O5 O 0.2779 0.3679 0.2791
O6 O 0.3679 0.2779 0.7791
O7 O 0.3683 0.7412 0.4048
O8 O 0.6317 0.2588 0.5952
O9 O 0.6321 0.7221 0.2209
O10 O 0.7221 0.6321 0.7209
O11 O 0.7412 0.3683 0.9048
O12 O 0.7887 0.2113 0.2500
O13 O 0.9406 0.0532 0.5304
O14 O 0.9468 0.0594 0.9696
```



Entry 4:
Material: HfSO
Method: DFT, PBE-GGA
State: relaxed

DFT formation energy: -2.959 eV/atom
largest piezoelectric modulus: 0.61 C/m²

Geometry as CIF:
```
data_HfSO
_cell_length_a 5.6986
_cell_length_b 5.6986
_cell_length_c 5.6986
_cell_angle_alpha 90.00
_cell_angle_beta 90.00
_cell_angle_gamma 90.00
_symmetry_space_group_name_H-M 'P 1'
_symmetry_Int_Tables_number 1
loop_
_symmetry_equiv_pos_as_xyz
'x,y,z'
loop_
_atom_site_label
_atom_site_type_symbol
_atom_site_fract_x
_atom_site_fract_y
_atom_site_fract_z
Hf1 Hf 0.1797 0.3203 0.6797
Hf2 Hf 0.3203 0.6797 0.1797
Hf3 Hf 0.6797 0.1797 0.3203
Hf4 Hf 0.8203 0.8203 0.8203
S1 S 0.0810 0.0810 0.0810
S2 S 0.4190 0.9190 0.5810
S3 S 0.5810 0.4190 0.9190
S4 S 0.9190 0.5810 0.4190
O1 O 0.0949 0.5949 0.9051
O2 O 0.4051 0.4051 0.4051
O3 O 0.5949 0.9051 0.0949
O4 O 0.9051 0.0949 0.5949
```



Entry 5:
Material: Hf2SiS2O12
Method: DFT, PBE-GGA
State: relaxed

DFT formation energy: -2.861 eV/atom

Geometry as CIF:
```
data_Hf2SiS2O12
_cell_length_a 8.9682
_cell_length_b 8.9682
_cell_length_c 23.0915
_cell_angle_alpha 90.01
_cell_angle_beta 90.01
_cell_angle_gamma 60.01
_symmetry_space_group_name_H-M 'P 1'
_symmetry_Int_Tables_number 1
loop_
_symmetry_equiv_pos_as_xyz
'x,y,z'
loop_
_atom_site_label
_atom_site_type_symbol
_atom_site_fract_x
_atom_site_fract_y
_atom_site_fract_z
Hf1 Hf 0.9996 0.0004 0.0000
Hf2 Hf 0.0004 0.9996 0.5000
Hf3 Hf 0.0060 0.9970 0.7878
Hf4 Hf 0.3157 0.3456 0.9545
Hf5 Hf 0.3238 0.3276 0.6666
Hf6 Hf 0.3276 0.3238 0.1666
Hf7 Hf 0.3456 0.3157 0.4545
Hf8 Hf 0.6590 0.6872 0.3336
Hf9 Hf 0.6640 0.6696 0.1214
Hf10 Hf 0.6696 0.6640 0.6214
Hf11 Hf 0.6872 0.6590 0.8336
Hf12 Hf 0.9970 0.0060 0.2878
Si1 Si 0.0016 0.7173 0.8940
Si2 Si 0.0418 0.3352 0.0607
Si3 Si 0.3352 0.0418 0.5607
Si4 Si 0.3772 0.9556 0.2268
Si5 Si 0.7173 0.0016 0.3940
Si6 Si 0.9556 0.3772 0.7268
S1 S 0.9999 0.2909 0.3939
S2 S 0.0480 0.6228 0.5605
S3 S 0.2884 0.7131 0.3941
S4 S 0.2909 0.9999 0.8939
S5 S 0.3356 0.6221 0.0608
S6 S 0.3822 0.6669 0.7274
S7 S 0.6221 0.3356 0.5608
S8 S 0.6228 0.0480 0.0605
S9 S 0.6669 0.3822 0.2274
S10 S 0.6685 0.9564 0.7274
S11 S 0.7131 0.2884 0.8941
S12 S 0.9564 0.6685 0.2274
O1 O 0.0244 0.1667 0.0486
O2 O 0.0284 0.7959 0.5529
O3 O 0.0290 0.8092 0.8376
O4 O 0.0334 0.1804 0.3422
O5 O 0.1263 0.5175 0.5086
O6 O 0.1312 0.5183 0.2186
O7 O 0.1391 0.3632 0.0051
O8 O 0.1430 0.3636 0.7183
O9 O 0.1515 0.3137 0.4028
O10 O 0.1571 0.5449 0.6126
O11 O 0.1667 0.0244 0.5486
O12 O 0.1672 0.3074 0.1163
O13 O 0.1716 0.5274 0.9029
O14 O 0.1804 0.0334 0.8422
O15 O 0.1818 0.7948 0.3422
O16 O 0.1840 0.7953 0.0517
O17 O 0.1892 0.9790 0.2393
O18 O 0.2090 0.8219 0.7352
O19 O 0.2092 0.9747 0.9457
O20 O 0.2117 0.8235 0.4459
O21 O 0.3058 0.5430 0.4037
O22 O 0.3074 0.1672 0.6163
O23 O 0.3086 0.5442 0.1128
O24 O 0.3137 0.1515 0.9028
O25 O 0.3632 0.1391 0.5051
O26 O 0.3630 0.5153 0.7174
O27 O 0.3636 0.1430 0.2183
O28 O 0.3668 0.5132 0.0087
O29 O 0.4605 0.6985 0.6753
O30 O 0.4608 0.8470 0.8844
O31 O 0.4631 0.6901 0.3854
O32 O 0.4735 0.8350 0.1709
O33 O 0.4863 0.6433 0.7795
O34 O 0.4891 0.6420 0.0684
O35 O 0.5011 0.8628 0.2830
O36 O 0.5040 0.8559 0.5729
O37 O 0.5132 0.3668 0.5087
O38 O 0.5153 0.3630 0.2174
O39 O 0.5175 0.1263 0.0086
O40 O 0.5183 0.1312 0.7186
O41 O 0.5274 0.1716 0.4029
O42 O 0.5430 0.3058 0.9037
O43 O 0.5442 0.3086 0.6128
O44 O 0.5449 0.1571 0.1126
O45 O 0.6355 0.8798 0.7792
O46 O 0.6420 0.4891 0.5684
O47 O 0.6433 0.4863 0.2795
O48 O 0.6441 0.8749 0.0697
O49 O 0.6901 0.4631 0.8854
O50 O 0.6972 0.8319 0.3850
O51 O 0.6968 0.8486 0.6757
O52 O 0.6985 0.4605 0.1753
O53 O 0.7948 0.1818 0.8422
O54 O 0.7953 0.1840 0.5517
O55 O 0.7959 0.0284 0.0529
O56 O 0.8092 0.0290 0.3376
O57 O 0.8215 0.9756 0.7360
O58 O 0.8219 0.2090 0.2352
O59 O 0.8235 0.2117 0.9459
O60 O 0.8319 0.6972 0.8850
O61 O 0.8350 0.4735 0.6709
O62 O 0.8362 0.9746 0.4504
O63 O 0.8470 0.4608 0.3844
O64 O 0.8486 0.6968 0.1757
O65 O 0.8559 0.5040 0.0729
O66 O 0.8628 0.5011 0.7830
O67 O 0.8749 0.6441 0.5697
O68 O 0.8798 0.6355 0.2792
O69 O 0.9747 0.2092 0.4457
O70 O 0.9746 0.8362 0.9504
O71 O 0.9756 0.8215 0.2360
O72 O 0.9790 0.1892 0.7393
```



Entry 6:
Material: HfSiSnS2O12
Method: DFT, PBE-GGA
State: relaxed

DFT formation energy: -2.461 eV/atom

Geometry as CIF:
```
data_HfSiSnS2O12
_cell_length_a 8.8803
_cell_length_b 8.8862
_cell_length_c 23.0905
_cell_angle_alpha 90.19
_cell_angle_beta 90.01
_cell_angle_gamma 119.91
_symmetry_space_group_name_H-M 'P 1'
_symmetry_Int_Tables_number 1
loop_
_symmetry_equiv_pos_as_xyz
'x,y,z'
loop_
_atom_site_label
_atom_site_type_symbol
_atom_site_fract_x
_atom_site_fract_y
_atom_site_fract_z
Hf1 Hf 0.0000 0.0000 0.0000
Hf2 Hf 0.0011 0.0065 0.5008
Hf3 Hf 0.0024 0.0034 0.2873
Hf4 Hf 0.3454 0.6589 0.3332
Hf5 Hf 0.6594 0.3461 0.4546
Hf6 Hf 0.6684 0.3380 0.6668
Si1 Si 0.2841 0.2854 0.3940
Si2 Si 0.2860 0.0023 0.8930
Si3 Si 0.6254 0.6633 0.2256
Si4 Si 0.6306 0.9602 0.7285
Si5 Si 0.6661 0.6264 0.5622
Si6 Si 0.6667 0.0487 0.0620
Sn1 Sn 0.0013 0.0023 0.7908
Sn2 Sn 0.3412 0.6872 0.8326
Sn3 Sn 0.3507 0.6824 0.1230
Sn4 Sn 0.3534 0.6765 0.6233
Sn5 Sn 0.6542 0.3167 0.9549
Sn6 Sn 0.6690 0.3346 0.1646
S1 S 0.0039 0.7171 0.3935
S2 S 0.0049 0.2976 0.8935
S3 S 0.0485 0.3852 0.2261
S4 S 0.0491 0.6690 0.7262
S5 S 0.3308 0.3812 0.7284
S6 S 0.3336 0.9563 0.2275
S7 S 0.3776 0.3392 0.0603
S8 S 0.3802 0.0460 0.5606
S9 S 0.7098 0.7065 0.8951
S10 S 0.7154 0.0056 0.3941
S11 S 0.9580 0.6218 0.0602
S12 S 0.9595 0.3423 0.5617
O1 O 0.0285 0.2113 0.2345
O2 O 0.0287 0.8239 0.4455
O3 O 0.0295 0.2139 0.9449
O4 O 0.0306 0.8241 0.7336
O5 O 0.1211 0.6311 0.7786
O6 O 0.1304 0.4963 0.2774
O7 O 0.1304 0.6376 0.0696
O8 O 0.1318 0.4981 0.5711
O9 O 0.1522 0.4598 0.1726
O10 O 0.1559 0.6968 0.6736
O11 O 0.1590 0.7016 0.3834
O12 O 0.1645 0.9792 0.9486
O13 O 0.1656 0.1936 0.4504
O14 O 0.1659 0.4672 0.8849
O15 O 0.1773 0.2062 0.7347
O16 O 0.1798 0.9775 0.2350
O17 O 0.1918 0.1678 0.3372
O18 O 0.2007 0.0350 0.8344
O19 O 0.2063 0.1825 0.0508
O20 O 0.2079 0.0303 0.5523
O21 O 0.2946 0.4553 0.6763
O22 O 0.2951 0.8482 0.1741
O23 O 0.2966 0.8241 0.8888
O24 O 0.3036 0.4765 0.3855
O25 O 0.3492 0.4881 0.0682
O26 O 0.3532 0.8688 0.5678
O27 O 0.3593 0.8741 0.2784
O28 O 0.3619 0.4888 0.7812
O29 O 0.4522 0.3048 0.1125
O30 O 0.4603 0.1538 0.6127
O31 O 0.4763 0.1785 0.8978
O32 O 0.4755 0.3055 0.4024
O33 O 0.4869 0.3645 0.7195
O34 O 0.4870 0.6350 0.5655
O35 O 0.4896 0.1298 0.2201
O36 O 0.4911 0.1244 0.5092
O37 O 0.4907 0.3788 0.0088
O38 O 0.4905 0.8602 0.0669
O39 O 0.5016 0.6350 0.2817
O40 O 0.5084 0.8765 0.7852
O41 O 0.5333 0.6821 0.8882
O42 O 0.5395 0.8541 0.3850
O43 O 0.5413 0.7007 0.1690
O44 O 0.5458 0.8400 0.6712
O45 O 0.6334 0.1353 0.0050
O46 O 0.6412 0.5037 0.5057
O47 O 0.6439 0.4902 0.2170
O48 O 0.6499 0.1484 0.7155
O49 O 0.6933 0.5305 0.6178
O50 O 0.6981 0.5361 0.9051
O51 O 0.7004 0.1606 0.4038
O52 O 0.7053 0.1705 0.1198
O53 O 0.7906 0.8217 0.9458
O54 O 0.7919 0.9704 0.4456
O55 O 0.8126 0.8319 0.2387
O56 O 0.8137 0.7801 0.8419
O57 O 0.8216 0.0297 0.3420
O58 O 0.8227 0.9800 0.7384
O59 O 0.8341 0.8146 0.5494
O60 O 0.8356 0.0284 0.0495
O61 O 0.8483 0.3098 0.6134
O62 O 0.8481 0.5501 0.1125
O63 O 0.8522 0.5408 0.4022
O64 O 0.8554 0.3266 0.9015
O65 O 0.8737 0.3669 0.2209
O66 O 0.8751 0.5148 0.7183
O67 O 0.8792 0.3651 0.5093
O68 O 0.8795 0.5161 0.0075
O69 O 0.9655 0.1874 0.8409
O70 O 0.9682 0.7932 0.3418
O71 O 0.9791 0.1868 0.5541
O72 O 0.9786 0.7968 0.0519
```



Entry 7:
Material: HfTiSiS2O12
Method: DFT, PBE-GGA
State: relaxed

DFT formation energy: -2.754 eV/atom

Geometry as CIF:
```
data_HfTiSiS2O12
_cell_length_a 8.8339
_cell_length_b 8.8387
_cell_length_c 22.7884
_cell_angle_alpha 90.00
_cell_angle_beta 89.83
_cell_angle_gamma 60.04
_symmetry_space_group_name_H-M 'P 1'
_symmetry_Int_Tables_number 1
loop_
_symmetry_equiv_pos_as_xyz
'x,y,z'
loop_
_atom_site_label
_atom_site_type_symbol
_atom_site_fract_x
_atom_site_fract_y
_atom_site_fract_z
Hf1 Hf 0.0000 0.0000 0.0000
Hf2 Hf 0.0030 0.0043 0.2166
Hf3 Hf 0.3384 0.3496 0.1693
Hf4 Hf 0.6555 0.6654 0.0465
Hf5 Hf 0.6692 0.6667 0.8320
Hf6 Hf 0.9973 0.0115 0.5005
Ti1 Ti 0.0044 0.0020 0.7136
Ti2 Ti 0.3439 0.3167 0.6677
Ti3 Ti 0.3553 0.3266 0.3818
Ti4 Ti 0.3560 0.3307 0.8782
Ti5 Ti 0.6528 0.6980 0.5479
Ti6 Ti 0.6713 0.6707 0.3360
Si1 Si 0.2814 0.0060 0.6085
Si2 Si 0.2834 0.7207 0.1079
Si3 Si 0.6206 0.3454 0.2768
Si4 Si 0.6246 0.0536 0.7725
Si5 Si 0.6649 0.3823 0.9389
Si6 Si 0.6650 0.9556 0.4393
S1 S 0.0000 0.2924 0.1080
S2 S 0.9999 0.7164 0.6088
S3 S 0.0429 0.6223 0.2771
S4 S 0.0526 0.3336 0.7728
S5 S 0.3254 0.6251 0.7729
S6 S 0.3370 0.0506 0.2769
S7 S 0.3780 0.9666 0.9393
S8 S 0.3836 0.6685 0.4407
S9 S 0.7098 0.2973 0.6088
S10 S 0.7115 0.0044 0.1079
S11 S 0.9502 0.3946 0.4403
S12 S 0.9582 0.6650 0.9391
O1 O 0.0207 0.7989 0.2680
O2 O 0.0242 0.1862 0.0551
O3 O 0.0275 0.1806 0.7640
O4 O 0.0280 0.7983 0.5558
O5 O 0.1175 0.5156 0.2229
O6 O 0.1236 0.3739 0.4297
O7 O 0.1296 0.5116 0.9290
O8 O 0.1306 0.3664 0.7202
O9 O 0.1516 0.5422 0.3283
O10 O 0.1540 0.5444 0.6189
O11 O 0.1552 0.3079 0.8260
O12 O 0.1572 0.3064 0.1170
O13 O 0.1648 0.0376 0.5509
O14 O 0.1654 0.8114 0.0504
O15 O 0.1682 0.8020 0.7654
O16 O 0.1782 0.0336 0.2698
O17 O 0.1842 0.9790 0.6656
O18 O 0.1904 0.8402 0.1653
O19 O 0.2037 0.9841 0.9480
O20 O 0.2069 0.8251 0.4490
O21 O 0.2956 0.5480 0.8266
O22 O 0.3021 0.5288 0.1150
O23 O 0.3041 0.1648 0.3283
O24 O 0.3077 0.1750 0.6212
O25 O 0.3531 0.1429 0.9303
O26 O 0.3546 0.5180 0.7208
O27 O 0.3575 0.5161 0.4319
O28 O 0.3630 0.1276 0.2229
O29 O 0.4593 0.8540 0.8877
O30 O 0.4621 0.6989 0.3882
O31 O 0.4747 0.7036 0.1007
O32 O 0.4775 0.8329 0.5972
O33 O 0.4794 0.6491 0.7815
O34 O 0.4859 0.3684 0.9280
O35 O 0.4871 0.1470 0.4291
O36 O 0.4873 0.8898 0.9924
O37 O 0.4896 0.8746 0.2851
O38 O 0.4919 0.6371 0.4937
O39 O 0.4937 0.1566 0.7170
O40 O 0.4968 0.3779 0.2202
O41 O 0.5166 0.3172 0.3331
O42 O 0.5242 0.1817 0.8296
O43 O 0.5321 0.3198 0.6183
O44 O 0.5338 0.1564 0.1161
O45 O 0.6289 0.5051 0.9965
O46 O 0.6335 0.8614 0.4978
O47 O 0.6386 0.5162 0.2919
O48 O 0.6405 0.8674 0.7839
O49 O 0.6860 0.8321 0.3836
O50 O 0.6900 0.4771 0.8823
O51 O 0.6931 0.4689 0.5982
O52 O 0.6974 0.8474 0.0985
O53 O 0.7851 0.1833 0.5558
O54 O 0.7876 0.0393 0.0551
O55 O 0.8087 0.1751 0.2669
O56 O 0.8133 0.0372 0.7580
O57 O 0.8178 0.9807 0.1604
O58 O 0.8212 0.2123 0.6604
O59 O 0.8279 0.1904 0.9500
O60 O 0.8301 0.9804 0.4509
O61 O 0.8384 0.4714 0.3873
O62 O 0.8426 0.7000 0.8875
O63 O 0.8438 0.6957 0.5986
O64 O 0.8479 0.4700 0.0997
O65 O 0.8659 0.6436 0.2842
O66 O 0.8679 0.4993 0.4931
O67 O 0.8750 0.4915 0.7796
O68 O 0.8764 0.6427 0.9927
O69 O 0.9635 0.8317 0.6608
O70 O 0.9646 0.2162 0.1605
O71 O 0.9675 0.2177 0.4477
O72 O 0.9746 0.8237 0.9464
```